Entry 1:
# Li3Co8O4F12

A geometry-optimized Li3Co8O4F12 structure (GGA+U, the Materials Project).

```
Li3Co8O4F12
1.0
5.311 -3.041 0.000
5.311 3.041 0.000
-3.600 0.000 9.699
Li Co O F
3 8 4 12
Cartesian
0.000 0.000 0.000 Li
3.480 0.000 8.425 Li
7.023 0.000 4.158 Li
-1.906 0.000 6.780 Co
2.671 1.516 1.831 Co
0.798 1.478 6.731 Co
4.303 1.606 4.113 Co
5.225 0.000 1.652 Co
0.798 -1.478 6.731 Co
2.671 -1.516 1.831 Co
4.303 -1.606 4.113 Co
-0.347 0.000 5.595 O
3.675 0.000 2.952 O
8.693 0.000 3.032 O
7.077 0.000 7.600 O
2.546 1.660 5.440 F
4.349 1.524 0.623 F
1.759 0.000 0.820 F
4.323 1.543 7.738 F
1.720 0.000 7.709 F
6.149 1.364 2.997 F
4.349 -1.524 0.623 F
7.045 0.000 0.636 F
5.319 0.000 5.339 F
2.546 -1.660 5.440 F
6.149 -1.364 2.997 F
4.323 -1.543 7.738 F
```

Properties
space group = No. 8
formation energy from the elements = -2.1267 eV per atom



Entry 2:
# Li6Co11O2F24

A geometry-optimized Li6Co11O2F24 structure (GGA+U, the Materials Project).

```
Li6Co11O2F24
1.0
8.103 0.000 0.000
-0.013 8.210 0.000
-2.438 -2.708 7.961
Li Co O F
6 11 2 24
Cartesian
0.000 0.000 0.000 Li
0.134 2.973 2.781 Li
0.880 5.276 6.450 Li
2.351 0.628 5.669 Li
5.388 5.043 1.510 Li
5.674 0.237 3.954 Li
-0.826 2.192 6.090 Co
0.291 6.839 3.284 Co
2.339 2.690 0.081 Co
2.209 5.608 0.900 Co
2.898 0.191 2.007 Co
3.275 5.969 3.948 Co
3.615 2.620 3.215 Co
3.673 3.776 6.485 Co
5.422 1.482 0.859 Co
5.073 0.695 7.523 Co
6.284 5.082 4.600 Co
1.135 4.318 0.018 O
4.533 1.054 2.561 O
-0.662 0.282 3.386 F
-1.799 -1.022 7.485 F
-0.643 3.350 4.469 F
-0.147 6.081 5.126 F
1.193 7.423 1.357 F
1.593 5.208 2.920 F
0.597 0.722 6.257 F
1.856 2.157 2.202 F
0.561 3.522 7.107 F
3.344 0.857 0.087 F
2.223 -0.456 3.900 F
2.582 5.194 5.642 F
3.967 3.538 1.188 F
3.780 6.386 1.953 F
2.970 2.393 5.113 F
3.331 -0.291 7.015 F
4.503 4.285 3.801 F
3.834 2.375 7.823 F
6.230 7.955 0.160 F
5.018 -1.500 4.574 F
5.561 1.281 5.555 F
6.933 2.733 1.458 F
5.653 4.307 6.385 F
6.816 5.589 2.712 F
```

Properties
space group = No. 1
formation energy from the elements = -2.4030 eV per atom



Entry 3:
# Li4CoOF4

A geometry-optimized Li4CoOF4 structure (GGA+U, the Materials Project).

```
Li4CoOF4
1.0
0.000 -2.065 -2.065
-0.001 8.256 -8.256
10.526 -4.129 2.064
Li Co O F
16 4 4 16
Cartesian
10.456 -0.001 -2.064 Li
10.457 2.063 -4.128 Li
10.456 4.127 -6.192 Li
10.457 -2.065 0.000 Li
4.279 -2.065 -2.065 Li
4.278 -0.001 -4.129 Li
4.279 2.063 -6.193 Li
4.278 4.127 -8.257 Li
6.362 -0.001 -2.064 Li
6.362 2.063 -4.128 Li
6.362 4.127 -6.192 Li
6.363 -2.065 0.000 Li
8.373 -2.065 -2.065 Li
8.373 -0.001 -4.129 Li
8.373 2.063 -6.193 Li
8.373 -4.129 -0.001 Li
2.105 4.123 -6.188 Co
2.104 6.196 -8.261 Co
2.105 -0.004 -2.061 Co
2.105 2.067 -4.132 Co
2.105 -2.066 -2.064 O
2.105 -0.001 -4.129 O
2.105 2.064 -6.194 O
2.105 4.127 -8.257 O
10.398 -2.065 -2.065 F
10.398 -0.001 -4.128 F
10.398 2.063 -6.193 F
10.398 -4.130 0.000 F
4.338 -0.001 -2.064 F
4.337 2.064 -4.129 F
4.337 4.127 -6.192 F
4.337 -2.064 -0.001 F
6.347 -2.065 -2.065 F
6.347 -0.001 -4.129 F
6.347 2.063 -6.193 F
6.347 4.127 -8.257 F
8.388 -0.001 -2.064 F
8.388 2.063 -4.128 F
8.388 4.127 -6.192 F
8.388 -2.065 0.000 F
```

Properties
formation energy from the elements = -2.7390 eV per atom



Entry 4:
# Li3CoO2F2

A geometry-optimized Li3CoO2F2 structure (GGA+U, the Materials Project).

```
Li3CoO2F2
1.0
5.036 0.000 0.000
0.000 5.884 0.000
-1.562 0.000 4.784
Li Co O F
6 2 4 4
Cartesian
-0.391 0.701 1.196 Li
-1.172 2.131 3.588 Li
-0.391 3.753 1.196 Li
-1.172 5.183 3.588 Li
2.128 2.187 1.196 Li
1.346 3.697 3.588 Li
1.346 0.591 3.588 Co
2.128 5.293 1.196 Co
-0.183 0.651 4.726 O
0.598 5.233 2.334 O
2.876 0.651 2.450 O
3.657 5.233 0.058 O
0.477 2.233 2.405 F
1.259 3.651 0.013 F
2.215 2.233 4.771 F
2.997 3.651 2.379 F
```

Properties
space group = No. 13
formation energy from the elements = -2.3276 eV per atom



Entry 5:
# Li4Co7O3F13

A geometry-optimized Li4Co7O3F13 structure (GGA+U, the Materials Project).

```
Li4Co7O3F13
1.0
6.065 0.000 0.000
-2.953 5.330 0.000
-0.274 -3.369 9.983
Li Co O F
4 7 3 13
Cartesian
0.000 0.000 0.000 Li
0.074 -0.080 3.823 Li
2.898 -1.523 5.006 Li
3.082 -1.671 8.798 Li
-1.668 0.931 6.914 Co
-0.183 -1.762 7.124 Co
-1.428 2.622 1.936 Co
-0.096 0.074 9.421 Co
3.042 -0.015 1.912 Co
1.603 0.975 6.883 Co
2.962 1.781 4.421 Co
2.997 0.286 5.677 O
3.009 1.968 7.994 O
4.700 -0.675 8.081 O
-0.045 1.839 0.649 F
-1.663 2.815 5.754 F
-1.364 4.343 0.695 F
0.022 0.030 5.814 F
-0.063 3.641 3.054 F
1.403 -0.773 8.141 F
0.015 1.763 8.054 F
1.666 0.810 3.173 F
1.439 4.492 0.578 F
3.261 1.656 0.760 F
1.564 2.850 5.691 F
4.535 0.890 3.129 F
3.274 3.387 3.259 F
```

Properties
space group = No. 1
formation energy from the elements = -2.2917 eV per atom



Entry 6:
# Li4Co7O3F13

A geometry-optimized Li4Co7O3F13 structure (GGA+U, the Materials Project).

```
Li4Co7O3F13
1.0
6.065 0.000 0.000
-2.953 5.330 0.000
-0.274 -3.369 9.983
Li Co O F
4 7 3 13
Cartesian
0.000 0.000 0.000 Li
-1.615 1.134 5.006 Li
1.994 3.209 3.823 Li
3.452 -1.038 8.798 Li
0.708 -0.236 7.124 Co
-0.711 2.569 6.914 Co
1.583 -0.579 4.421 Co
-0.507 4.294 1.912 Co
0.080 0.374 9.421 Co
4.034 1.589 1.936 Co
2.569 2.630 6.883 Co
-1.725 2.585 5.677 O
0.517 -2.300 7.994 O
-0.772 0.340 8.081 O
-0.248 1.493 0.649 F
-1.015 2.010 3.054 F
-1.580 3.972 0.695 F
0.677 -0.884 3.173 F
-0.210 -0.188 5.691 F
2.609 -0.257 5.754 F
1.258 4.183 0.578 F
3.560 -0.780 3.129 F
1.322 2.256 5.814 F
1.977 0.210 8.141 F
2.258 1.648 3.259 F
3.024 1.250 0.760 F
3.570 -2.537 8.054 F
```

Properties
space group = No. 1
formation energy from the elements = -1.6091 eV per atom



Entry 7:
# Li4CoOF5

A geometry-optimized Li4CoOF5 structure (GGA+U, the Materials Project).

```
Li4CoOF5
1.0
-5.476 -0.491 0.023
1.912 5.672 -4.188
3.239 -4.149 -4.142
Li Co O F
8 2 2 10
Cartesian
-0.716 0.968 -5.390 Li
-1.672 -1.868 -3.296 Li
0.393 0.061 -2.927 Li
1.349 2.897 -5.021 Li
-2.694 -0.183 -1.479 Li
-1.738 2.653 -3.573 Li
2.373 1.212 -6.837 Li
1.417 -1.624 -4.743 Li
0.960 2.832 -2.100 Co
0.003 -0.004 -0.005 Co
0.483 1.413 -1.054 O
1.439 4.249 -3.148 O
3.055 2.178 -5.217 F
2.099 -0.658 -3.123 F
-2.658 1.572 -2.271 F
-1.702 4.408 -4.365 F
2.343 -0.544 -6.044 F
1.387 -3.380 -3.950 F
-0.489 -0.819 -4.520 F
0.467 2.017 -6.615 F
0.167 1.846 -3.799 F
-0.789 -0.991 -1.704 F
```

Properties
formation energy from the elements = -2.7096 eV per atom



Entry 8:
# Li2Co4OF8

A geometry-optimized Li2Co4OF8 structure (GGA+U, the Materials Project).

```
Li2Co4OF8
1.0
6.856 0.000 0.000
1.352 7.697 0.000
3.285 2.417 7.335
Li Co O F
4 8 2 16
Cartesian
2.484 3.023 3.025 Li
5.697 7.985 6.386 Li
5.795 2.129 0.949 Li
9.008 7.091 4.311 Li
4.226 4.947 5.498 Co
2.238 0.869 0.308 Co
4.170 5.304 1.959 Co
5.605 7.729 3.046 Co
5.887 2.385 4.289 Co
7.322 4.810 5.377 Co
9.254 9.244 7.027 Co
7.266 5.167 1.837 Co
5.729 3.623 5.747 O
5.763 6.490 1.589 O
0.592 1.936 0.150 F
2.313 4.472 1.774 F
3.889 6.656 3.573 F
2.882 1.413 2.082 F
4.064 3.951 3.683 F
3.462 6.558 0.315 F
5.640 8.847 4.711 F
5.853 6.186 5.915 F
5.638 3.928 1.421 F
5.852 1.267 2.624 F
8.029 3.556 7.020 F
7.427 6.162 3.652 F
8.610 8.701 5.253 F
7.603 3.458 3.762 F
9.179 5.642 5.561 F
10.899 8.178 7.185 F
```

Properties
space group = No. 2
formation energy from the elements = -2.3320 eV per atom



Entry 9:
# Li4Co7O2F14

A geometry-optimized Li4Co7O2F14 structure (GGA+U, the Materials Project).

```
Li4Co7O2F14
1.0
6.052 0.000 0.000
-2.911 5.350 0.000
-2.898 -1.875 10.001
Li Co O F
4 7 2 14
Cartesian
0.000 0.000 0.000 Li
-2.893 1.757 4.982 Li
-0.072 0.123 3.890 Li
-2.944 1.993 8.865 Li
-1.498 2.740 1.898 Co
-1.338 -0.849 6.921 Co
-0.006 -0.031 9.415 Co
1.403 -0.814 6.930 Co
0.081 1.760 6.858 Co
2.972 0.088 1.913 Co
0.156 3.582 4.358 Co
0.020 0.118 5.838 O
-2.878 3.806 8.169 O
-0.122 1.973 3.205 F
-0.109 3.740 0.807 F
-1.369 4.479 3.160 F
1.579 0.894 0.674 F
-1.402 1.007 8.180 F
-1.323 2.785 5.632 F
0.141 3.587 7.940 F
1.419 4.630 3.228 F
3.054 -0.120 5.724 F
1.517 0.995 8.175 F
1.564 2.740 5.632 F
4.465 0.982 0.711 F
3.181 3.492 0.594 F
3.168 1.778 3.058 F
```

Properties
space group = No. 1
formation energy from the elements = -2.3667 eV per atom



Entry 10:
# LiCo5O7F

A geometry-optimized LiCo5O7F structure (GGA+U, the Materials Project).

```
LiCo5O7F
1.0
5.848 0.000 0.000
-2.815 5.161 0.000
-2.795 -1.663 9.734
Li Co O F
2 10 14 2
Cartesian
0.000 0.000 0.000 Li
-2.821 1.784 4.910 Li
-1.541 2.702 1.920 Co
-1.546 -0.651 6.818 Co
-3.016 1.933 8.639 Co
-0.185 0.197 3.780 Co
2.732 0.110 1.935 Co
-0.088 3.617 4.332 Co
-0.062 1.858 6.808 Co
-0.043 0.183 9.185 Co
1.421 2.670 1.901 Co
1.428 -0.721 6.761 Co
-0.154 2.029 3.062 O
-1.450 1.008 8.025 O
-0.099 3.511 0.892 O
-0.116 -1.350 7.939 O
-0.118 0.192 5.765 O
-1.405 4.454 3.140 O
1.574 1.026 0.694 O
-1.250 2.773 5.636 O
1.226 0.954 7.946 O
1.279 4.360 3.124 O
0.158 3.510 7.751 O
2.915 1.863 2.900 O
2.975 3.287 0.705 O
2.921 -0.045 5.682 O
4.296 0.845 0.692 F
1.476 2.704 5.470 F
```

Properties
space group = No. 1
formation energy from the elements = -1.4559 eV per atom



Entry 11:
# LiCo2OF5

A geometry-optimized LiCo2OF5 structure (GGA+U, the Materials Project).

```
LiCo2OF5
1.0
4.991 0.000 0.000
0.000 4.561 0.000
-0.081 0.000 16.903
Li Co O F
4 8 4 20
Cartesian
0.000 1.065 0.000 Li
-0.040 3.496 8.452 Li
2.527 1.124 3.910 Li
2.486 3.437 12.362 Li
0.043 1.198 5.537 Co
0.002 3.363 13.989 Co
0.064 1.264 11.417 Co
0.104 3.297 2.965 Co
2.312 1.241 15.178 Co
2.352 3.320 6.726 Co
2.516 1.145 9.568 Co
2.556 3.416 1.117 Co
0.733 2.185 4.155 O
0.693 2.376 12.607 O
0.839 2.255 15.193 O
0.880 2.306 6.741 O
0.869 2.173 9.727 F
0.910 2.388 1.276 F
1.593 0.115 5.411 F
1.553 4.446 13.863 F
1.650 0.100 10.989 F
1.691 4.461 2.538 F
1.663 0.037 16.709 F
1.703 4.524 8.257 F
3.232 2.230 16.770 F
3.272 2.331 8.318 F
3.290 2.182 11.050 F
3.331 2.379 2.598 F
3.426 2.206 5.455 F
3.386 2.355 13.907 F
4.081 0.035 15.272 F
4.121 4.526 6.821 F
4.109 0.128 9.840 F
4.149 4.433 1.389 F
4.209 0.090 4.166 F
4.169 4.471 12.618 F
```

Properties
space group = No. 7
formation energy from the elements = -2.1617 eV per atom



Entry 12:
# Li2CoOF3

A geometry-optimized Li2CoOF3 structure (GGA+U, the Materials Project).

```
Li2CoOF3
1.0
5.895 0.000 0.000
0.000 5.895 0.000
0.000 0.000 8.589
Li Co O F
8 4 4 12
Cartesian
5.892 1.421 0.000 Li
0.003 4.473 4.294 Li
1.421 0.003 6.442 Li
1.432 4.372 1.070 Li
1.523 1.432 3.217 Li
4.372 4.463 7.511 Li
4.463 1.523 5.364 Li
4.473 5.892 2.147 Li
1.530 3.046 6.534 Co
2.848 1.530 0.093 Co
3.046 4.364 4.387 Co
4.364 2.848 2.240 Co
1.608 2.782 8.432 O
2.782 4.287 6.284 O
3.112 1.608 1.990 O
4.287 3.112 4.137 O
0.050 4.410 6.399 F
0.178 1.574 6.438 F
1.426 3.009 4.378 F
1.484 0.050 8.547 F
1.574 5.717 4.291 F
2.885 1.426 6.525 F
3.009 4.469 2.231 F
4.321 0.178 8.585 F
4.410 5.845 4.252 F
4.469 2.885 0.083 F
5.717 4.321 2.144 F
5.845 1.484 2.105 F
```

Properties
largest piezoelectric modulus = 0.5 C/m²
space group = No. 76
formation energy from the elements = -2.4943 eV per atom



What did the seventh record say?
# Li4CoOF5

A geometry-optimized Li4CoOF5 structure (GGA+U, the Materials Project).

```
Li4CoOF5
1.0
-5.476 -0.491 0.023
1.912 5.672 -4.188
3.239 -4.149 -4.142
Li Co O F
8 2 2 10
Cartesian
-0.716 0.968 -5.390 Li
-1.672 -1.868 -3.296 Li
0.393 0.061 -2.927 Li
1.349 2.897 -5.021 Li
-2.694 -0.183 -1.479 Li
-1.738 2.653 -3.573 Li
2.373 1.212 -6.837 Li
1.417 -1.624 -4.743 Li
0.960 2.832 -2.100 Co
0.003 -0.004 -0.005 Co
0.483 1.413 -1.054 O
1.439 4.249 -3.148 O
3.055 2.178 -5.217 F
2.099 -0.658 -3.123 F
-2.658 1.572 -2.271 F
-1.702 4.408 -4.365 F
2.343 -0.544 -6.044 F
1.387 -3.380 -3.950 F
-0.489 -0.819 -4.520 F
0.467 2.017 -6.615 F
0.167 1.846 -3.799 F
-0.789 -0.991 -1.704 F
```

Properties
formation energy from the elements = -2.7096 eV per atom